[1]
Compound: Li3Co2O5
Source: the Materials Project database
Functional: GGA+U
Structure: optimized geometry Values from VASP.

Cell and atoms, written as Quantum ESPRESSO input:
```
&SYSTEM
  ibrav = 0, nat = 20, ntyp = 3
/
ATOMIC_SPECIES
Li 6.94 Li.upf
Co 58.93 Co.upf
O 16.00 O.upf
CELL_PARAMETERS angstrom
2.943 0.000 0.000
-0.109 5.073 0.000
-0.933 -1.092 11.931
ATOMIC_POSITIONS angstrom
Li 1.005 -0.546 5.965
Li 2.312 3.722 3.591
Li 0.738 2.932 1.210
Li 1.163 1.048 10.721
Li -0.411 0.259 8.340
Li -0.521 1.990 5.965
Co 1.027 2.735 8.243
Co 0.875 1.246 3.688
Co 2.259 0.445 1.212
Co -0.358 3.536 10.719
O -0.605 3.620 7.242
O 0.881 2.705 4.651
O 2.187 1.992 2.451
O 0.684 1.186 0.032
O 1.140 -0.816 9.535
O 2.506 0.361 4.688
O 0.761 4.796 2.396
O 1.217 2.794 11.899
O -0.286 1.989 9.479
O 1.020 1.276 7.279
```

Properties
Energy above the lowest structure with this stoichiometry in eV per atom: 0.073
Corrected total energy (MP2020 scheme) in eV for the cell shown: -122.743
Formation energy in eV/atom: -1.67

***

[2]
Compound: LiFeF5
Source: the Materials Project database
Functional: GGA+U
Structure: optimized geometry Values from VASP.

Cell and atoms, written as Quantum ESPRESSO input:
```
&SYSTEM
  ibrav = 0, nat = 14, ntyp = 3
/
ATOMIC_SPECIES
Li 6.94 Li.upf
Fe 55.84 Fe.upf
F 19.00 F.upf
CELL_PARAMETERS angstrom
3.036 4.239 0.000
-3.036 4.239 0.000
0.000 3.594 6.832
ATOMIC_POSITIONS angstrom
Li 0.013 5.138 1.708
Li -0.013 6.935 5.124
Fe 0.000 0.000 0.000
Fe 0.000 1.797 3.416
F 0.157 6.911 0.865
F -1.278 5.715 3.122
F -0.157 8.708 4.281
F 2.454 5.138 1.708
F -1.278 4.561 0.294
F 1.278 7.512 6.538
F -2.454 6.935 5.124
F 0.157 3.365 2.551
F 1.278 6.358 3.710
F -0.157 5.162 5.967
```

Properties
Energy above the lowest structure with this stoichiometry in eV per atom: 0.000
Corrected total energy (MP2020 scheme) in eV for the cell shown: -74.270
Formation energy in eV/atom: -2.45

***

[3]
Compound: LiV2O4
Source: the Materials Project database
Functional: GGA+U
Structure: optimized geometry Values from VASP.

Cell and atoms, written as Quantum ESPRESSO input:
```
&SYSTEM
  ibrav = 0, nat = 14, ntyp = 3
/
ATOMIC_SPECIES
Li 6.94 Li.upf
V 50.94 V.upf
O 16.00 O.upf
CELL_PARAMETERS angstrom
5.168 -0.058 3.013
1.671 4.880 3.007
0.012 0.002 6.005
ATOMIC_POSITIONS angstrom
Li 5.991 4.217 10.519
Li 0.859 0.606 1.506
V 4.261 4.852 7.517
V 0.841 2.441 4.506
V 3.419 2.411 3.010
V 3.425 2.412 6.013
O 1.858 1.309 3.122
O 1.861 1.301 5.885
O 4.992 3.515 8.904
O 4.989 3.523 6.141
O 2.699 3.526 7.511
O 2.603 3.467 4.516
O 4.151 1.298 4.514
O 4.247 1.357 7.509
```

Properties
Energy above the lowest structure with this stoichiometry in eV per atom: 0.000
Corrected total energy (MP2020 scheme) in eV for the cell shown: -114.847
Formation energy in eV/atom: -2.51

***

[4]
Compound: V3O5F
Source: the Materials Project database
Functional: GGA+U
Structure: optimized geometry Values from VASP.

Cell and atoms, written as Quantum ESPRESSO input:
```
&SYSTEM
  ibrav = 0, nat = 18, ntyp = 3
/
ATOMIC_SPECIES
V 50.94 V.upf
O 16.00 O.upf
F 19.00 F.upf
CELL_PARAMETERS angstrom
-0.702 2.984 0.050
-1.286 -0.197 -6.303
-9.956 -2.322 -1.170
ATOMIC_POSITIONS angstrom
V -1.441 -0.234 -6.276
V -4.802 0.537 -5.492
V -10.935 -0.925 -4.299
V -3.656 -0.817 -2.592
V -7.522 -1.686 -4.979
V -6.989 -0.038 -1.847
O -2.897 0.994 -6.041
O -10.314 -2.375 -3.031
O -10.862 -2.461 -5.629
O -7.105 -1.620 -3.075
O -2.747 0.975 -2.734
O -6.694 0.088 -5.228
O -5.300 0.365 -2.174
O -9.116 -0.491 -4.691
O -4.153 -0.904 -4.382
O -7.903 -1.744 -6.893
F -3.381 -0.785 -0.591
F -9.115 -0.545 -1.402
```

Properties
Energy above the lowest structure with this stoichiometry in eV per atom: 0.014
Corrected total energy (MP2020 scheme) in eV for the cell shown: -154.452
Formation energy in eV/atom: -2.59

***

[5]
Compound: FeP3O9
Source: the Materials Project database
Functional: GGA+U
Structure: optimized geometry Values from VASP.

Cell and atoms, written as Quantum ESPRESSO input:
```
&SYSTEM
  ibrav = 0, nat = 52, ntyp = 3
/
ATOMIC_SPECIES
Fe 55.84 Fe.upf
P 30.97 P.upf
O 16.00 O.upf
CELL_PARAMETERS angstrom
8.535 0.000 0.000
0.000 8.597 0.000
0.000 0.000 8.689
ATOMIC_POSITIONS angstrom
Fe 7.409 5.524 3.061
Fe 5.393 3.074 7.406
Fe 3.142 7.372 5.628
Fe 1.126 1.225 1.283
P 5.823 8.473 7.063
P 5.980 2.650 3.910
P 6.823 5.948 8.254
P 6.980 0.124 2.719
P 0.300 5.823 6.002
P 1.555 4.423 1.626
P 1.712 1.649 4.779
P 2.555 6.948 0.435
P 8.235 1.525 7.032
P 3.968 2.774 1.657
P 4.567 7.073 2.687
P 2.712 4.174 5.970
O 5.436 5.918 3.108
O 8.175 6.185 7.411
O 7.658 7.523 3.322
O 7.773 5.364 5.046
O 0.360 1.886 5.623
O 0.877 3.225 1.022
O 0.762 1.066 7.988
O 0.850 5.126 2.757
O 1.168 6.978 5.581
O 1.230 4.579 6.461
O 1.306 1.383 3.365
O 1.640 7.891 1.168
O 1.895 5.474 0.458
O 2.372 3.123 4.802
O 2.628 0.707 5.512
O 2.961 7.215 7.710
O 3.037 4.018 2.117
O 3.099 1.619 1.237
O 3.417 3.471 7.102
O 3.505 7.532 3.643
O 3.390 5.373 5.367
O 3.908 6.711 1.278
O 4.627 2.413 3.066
O 7.366 2.680 7.452
O 5.030 3.233 0.701
O 5.118 7.770 5.932
O 5.144 1.074 7.667
O 5.498 8.317 2.228
O 5.574 2.916 5.324
O 5.907 5.005 7.521
O 6.163 7.422 8.231
O 6.640 1.175 3.887
O 6.895 3.592 3.177
O 7.229 5.682 0.979
O 7.304 0.281 6.572
O 7.684 0.828 1.588
```

Properties
Energy above the lowest structure with this stoichiometry in eV per atom: 0.015
Corrected total energy (MP2020 scheme) in eV for the cell shown: -405.106
Formation energy in eV/atom: -2.46

***

[6]
Compound: K5MoC7N7O
Source: the Materials Project database
Functional: GGA+U
Structure: optimized geometry Values from VASP.

Cell and atoms, written as Quantum ESPRESSO input:
```
&SYSTEM
  ibrav = 0, nat = 21, ntyp = 5
/
ATOMIC_SPECIES
K 39.10 K.upf
Mo 95.94 Mo.upf
C 12.01 C.upf
N 14.01 N.upf
O 16.00 O.upf
CELL_PARAMETERS angstrom
7.873 0.000 0.000
-2.472 7.532 0.000
-2.684 -3.523 6.826
ATOMIC_POSITIONS angstrom
K 3.909 1.603 0.575
K 3.979 -0.027 4.635
K -2.519 4.644 3.078
K -0.030 1.476 4.172
K 1.425 4.658 1.577
Mo 2.721 4.025 6.786
C -3.412 2.976 5.942
C 2.130 1.941 6.592
C 6.332 -0.390 1.446
C -0.579 1.940 0.855
C -1.527 -1.944 5.809
C 1.162 4.348 5.262
C 1.341 -0.093 1.675
N -2.432 2.412 5.612
N 1.754 0.830 6.454
N 5.511 -0.558 2.274
N -0.885 2.941 1.392
N -0.942 -1.057 5.294
N 0.276 4.538 4.503
N 2.055 -0.092 2.614
O 3.296 3.142 2.562
```

Properties
Corrected total energy (MP2020 scheme) in eV for the cell shown: -147.762
Formation energy in eV/atom: -0.16

***

[7]
Compound: BaCo2Si2O7
Source: the Materials Project database
Functional: GGA+U
Structure: optimized geometry Values from VASP.

Cell and atoms, written as Quantum ESPRESSO input:
```
&SYSTEM
  ibrav = 0, nat = 48, ntyp = 4
/
ATOMIC_SPECIES
Ba 137.33 Ba.upf
Co 58.93 Co.upf
Si 28.09 Si.upf
O 16.00 O.upf
CELL_PARAMETERS angstrom
6.460 3.677 0.000
-6.460 3.677 0.000
0.000 0.029 13.926
ATOMIC_POSITIONS angstrom
Ba 0.249 1.503 12.210
Ba 0.249 5.893 8.678
Ba -0.249 5.879 1.715
Ba -0.249 1.489 5.248
Co -3.480 3.922 6.823
Co -3.480 3.445 0.140
Co -3.514 3.684 3.481
Co 3.480 3.937 13.786
Co -3.456 3.698 10.444
Co 3.456 3.684 3.481
Co 3.514 3.698 10.444
Co 3.480 3.460 7.103
Si 1.384 2.363 8.614
Si 1.384 5.034 12.275
Si -1.384 5.019 5.312
Si -1.384 2.348 1.651
Si -1.585 2.143 8.809
Si -1.585 5.254 12.080
Si 1.585 5.239 5.117
Si 1.585 2.128 1.846
O -1.455 0.940 7.711
O -1.455 6.457 13.178
O 1.455 6.442 6.215
O 1.455 0.925 0.748
O -1.753 1.613 10.355
O -1.753 5.784 10.533
O 1.753 5.769 3.571
O 1.753 1.598 3.392
O -0.161 3.025 8.660
O -0.161 4.372 12.229
O 0.161 4.357 5.266
O 0.161 3.010 1.697
O 2.356 3.693 8.823
O 2.356 3.703 12.066
O -2.356 3.689 5.103
O -2.356 3.679 1.860
O 1.766 1.832 7.112
O 1.766 5.564 13.777
O -1.766 5.550 6.814
O -1.766 1.818 0.149
O 2.857 3.158 1.604
O 2.857 4.209 5.359
O -2.857 4.224 12.322
O -2.857 3.173 8.567
O 1.491 1.238 9.777
O -1.491 6.144 4.149
O 1.491 6.159 11.112
O -1.491 1.223 2.814
```

Properties
Corrected total energy (MP2020 scheme) in eV for the cell shown: -375.272
Formation energy in eV/atom: -2.68

***

[8]
Compound: Ca3MnCSO25
Source: the Materials Project database
Functional: GGA+U
Structure: optimized geometry Values from VASP.

Cell and atoms, written as Quantum ESPRESSO input:
```
&SYSTEM
  ibrav = 0, nat = 62, ntyp = 5
/
ATOMIC_SPECIES
Ca 40.08 Ca.upf
Mn 54.94 Mn.upf
C 12.01 C.upf
S 32.06 S.upf
O 16.00 O.upf
CELL_PARAMETERS angstrom
5.172 -8.958 0.000
5.172 8.958 0.000
0.000 0.000 10.499
ATOMIC_POSITIONS angstrom
Ca 4.030 -0.843 2.250
Ca 7.598 -3.069 2.250
Ca 3.887 -5.046 2.250
Ca 6.313 0.843 7.499
Ca 2.745 3.069 7.499
Ca 6.457 5.046 7.499
Mn 0.000 0.000 0.686
Mn 0.000 0.000 5.936
C 5.172 -2.986 4.991
C 5.172 2.986 10.241
S 5.172 -2.986 10.266
S 5.172 2.986 5.017
O 1.817 2.172 1.846
O 6.145 6.298 1.846
O 7.554 0.488 1.846
O 8.526 -2.172 7.096
O 4.199 -6.298 7.096
O 2.790 -0.488 7.096
O 6.154 -4.735 2.512
O 3.166 -2.962 2.512
O 6.195 -1.261 2.512
O 4.190 4.735 7.761
O 7.178 2.962 7.761
O 4.148 1.261 7.761
O 3.918 -6.454 0.064
O 2.795 -0.166 0.064
O 8.802 -2.338 0.064
O 6.426 6.454 5.314
O 7.548 0.166 5.314
O 1.541 2.338 5.314
O 3.805 -5.739 4.550
O 3.471 -0.425 4.550
O 8.240 -2.793 4.550
O 6.539 5.739 9.799
O 6.873 0.425 9.799
O 2.104 2.793 9.799
O 3.984 -3.504 4.995
O 5.317 -1.698 4.995
O 6.215 -3.756 4.995
O 6.360 3.504 10.245
O 5.027 1.698 10.245
O 4.129 3.756 10.245
O 3.916 -3.629 0.310
O 5.243 -1.577 0.310
O 6.356 -3.752 0.310
O 6.427 3.629 5.560
O 5.101 1.577 5.560
O 3.987 3.752 5.560
O 5.916 -7.458 1.989
O 0.927 -1.394 1.989
O 8.672 -0.106 1.989
O 4.428 7.458 7.239
O 9.416 1.394 7.239
O 1.671 0.106 7.239
O 0.899 1.400 4.715
O 5.935 7.479 4.715
O 8.681 0.079 4.715
O 9.444 -1.400 9.964
O 4.409 -7.479 9.964
O 1.662 -0.079 9.964
O 5.172 -2.986 8.814
O 5.172 2.986 3.564
```

Properties
Corrected total energy (MP2020 scheme) in eV for the cell shown: -343.279
Formation energy in eV/atom: -0.63

***

[9]
Compound: MgMn5CrP6O24
Source: the Materials Project database
Functional: GGA+U
Structure: optimized geometry Values from VASP.

Cell and atoms, written as Quantum ESPRESSO input:
```
&SYSTEM
  ibrav = 0, nat = 37, ntyp = 5
/
ATOMIC_SPECIES
Mg 24.30 Mg.upf
Mn 54.94 Mn.upf
Cr 52.00 Cr.upf
P 30.97 P.upf
O 16.00 O.upf
CELL_PARAMETERS angstrom
-8.282 -0.706 0.997
-4.666 7.419 0.778
-5.177 2.714 -6.484
ATOMIC_POSITIONS angstrom
Mg -9.403 7.973 -3.186
Mn -8.356 -0.564 0.900
Mn -6.843 6.501 -3.650
Mn -9.028 4.603 -2.304
Mn -12.079 8.296 -4.464
Mn -11.201 2.942 -1.072
Cr -6.142 1.056 -0.224
P -6.069 3.124 -2.977
P -7.769 7.645 -0.606
P -9.568 6.423 -5.562
P -8.579 2.972 0.828
P -10.472 1.825 -4.056
P -11.903 6.331 -1.655
O -2.646 1.617 -1.758
O -3.570 4.081 -0.293
O -4.625 3.653 -2.926
O -6.067 2.303 -4.358
O -6.411 2.189 -1.829
O -7.080 4.289 -3.057
O -6.721 6.967 0.311
O -7.954 6.760 -1.946
O -7.549 4.083 1.024
O -8.745 6.170 -4.215
O -7.915 1.591 0.584
O -13.743 8.962 -3.848
O -9.173 7.570 -0.011
O -10.272 7.799 -5.155
O -9.373 3.382 -0.457
O -10.457 5.217 -5.690
O -10.243 2.809 -2.860
O -11.414 2.491 -5.103
O -10.989 5.092 -1.633
O -11.276 7.299 -2.689
O -11.960 6.999 -0.241
O -13.358 5.982 -2.001
O -14.695 5.489 -4.466
O -15.865 7.957 -2.829
```

Properties
Energy above the lowest structure with this stoichiometry in eV per atom: 0.000
Corrected total energy (MP2020 scheme) in eV for the cell shown: -301.653
Formation energy in eV/atom: -2.52

***

[10]
Compound: CrRe2O6
Source: the Materials Project database
Functional: GGA+U
Structure: optimized geometry Values from VASP.

Cell and atoms, written as Quantum ESPRESSO input:
```
&SYSTEM
  ibrav = 0, nat = 36, ntyp = 3
/
ATOMIC_SPECIES
Cr 52.00 Cr.upf
Re 186.21 Re.upf
O 16.00 O.upf
CELL_PARAMETERS angstrom
-4.792 4.792 0.000
-4.792 -4.792 0.000
-4.792 0.000 8.494
ATOMIC_POSITIONS angstrom
Cr -7.188 -2.396 1.415
Cr -4.792 0.000 5.662
Cr -7.188 2.396 1.415
Cr -9.584 0.000 5.662
Re -7.188 -2.396 4.367
Re -7.188 2.396 4.367
Re -7.188 -2.396 6.949
Re -7.188 2.396 6.949
Re -4.792 0.000 0.121
Re -9.584 0.000 0.120
Re -4.793 0.000 2.703
Re -9.585 0.000 2.702
O -8.532 -1.054 1.416
O -3.740 -1.054 1.417
O -5.845 -3.739 1.416
O -5.845 1.054 1.416
O -8.241 -3.450 5.663
O -8.241 1.342 5.663
O -6.135 -1.342 5.663
O -10.928 -1.343 5.663
O -8.608 -0.975 4.206
O -3.816 -0.975 4.206
O -8.607 -0.977 7.121
O -8.607 3.815 7.121
O -10.560 0.976 4.205
O -5.768 0.976 4.206
O -10.561 0.977 7.120
O -5.769 0.977 7.121
O -3.373 1.419 2.874
O -8.165 1.419 2.873
O -8.164 -3.372 8.452
O -8.164 1.421 8.452
O -6.212 -1.421 8.453
O -11.004 -1.421 8.452
O -6.211 -1.420 2.874
O -6.211 3.373 2.874
```

Properties
Corrected total energy (MP2020 scheme) in eV for the cell shown: -329.541
Formation energy in eV/atom: -2.02

***

[11]
Compound: LiMnSiO4
Source: the Materials Project database
Functional: GGA+U
Structure: optimized geometry Values from VASP.

Cell and atoms, written as Quantum ESPRESSO input:
```
&SYSTEM
  ibrav = 0, nat = 28, ntyp = 4
/
ATOMIC_SPECIES
Li 6.94 Li.upf
Mn 54.94 Mn.upf
Si 28.09 Si.upf
O 16.00 O.upf
CELL_PARAMETERS angstrom
-0.897 -5.044 2.525
4.314 -0.181 4.444
-4.748 2.941 7.408
ATOMIC_POSITIONS angstrom
Li -3.388 -0.812 10.105
Li -1.935 1.214 8.175
Li 0.605 -3.498 6.202
Li 2.058 -1.473 4.271
Mn 0.053 0.583 10.700
Mn -2.802 -2.237 7.046
Mn 1.472 -0.047 7.330
Mn -1.383 -2.868 3.676
Si -1.420 -1.591 12.515
Si -0.098 -1.974 8.852
Si -1.232 -0.310 5.524
Si 0.090 -0.693 1.862
O -1.711 -0.607 11.230
O -1.206 1.933 9.900
O -3.973 1.538 7.957
O -4.117 -1.626 8.351
O 0.179 -2.841 10.214
O 0.112 -0.315 8.954
O -1.618 -2.299 8.466
O -2.390 0.045 6.646
O 1.059 -2.329 7.731
O 0.288 0.015 5.910
O -1.442 -1.969 5.423
O -1.510 0.557 4.163
O 2.787 -0.658 6.026
O 2.643 -3.822 6.420
O -0.124 -4.217 4.476
O 0.381 -1.677 3.147
```

Properties
Energy above the lowest structure with this stoichiometry in eV per atom: 0.072
Corrected total energy (MP2020 scheme) in eV for the cell shown: -217.031
Formation energy in eV/atom: -2.57

***

Question: Look up the corrected total energy (MP2020 scheme) of the eighth one.
Answer: -343.279 eV for the cell shown

***

Question: Among the records above, which one has the highest formation energy?
Answer: K5MoC7N7O

***

Copy entry 6 word for word.
Compound: K5MoC7N7O
Source: the Materials Project database
Functional: GGA+U
Structure: optimized geometry Values from VASP.

Cell and atoms, written as Quantum ESPRESSO input:
```
&SYSTEM
  ibrav = 0, nat = 21, ntyp = 5
/
ATOMIC_SPECIES
K 39.10 K.upf
Mo 95.94 Mo.upf
C 12.01 C.upf
N 14.01 N.upf
O 16.00 O.upf
CELL_PARAMETERS angstrom
7.873 0.000 0.000
-2.472 7.532 0.000
-2.684 -3.523 6.826
ATOMIC_POSITIONS angstrom
K 3.909 1.603 0.575
K 3.979 -0.027 4.635
K -2.519 4.644 3.078
K -0.030 1.476 4.172
K 1.425 4.658 1.577
Mo 2.721 4.025 6.786
C -3.412 2.976 5.942
C 2.130 1.941 6.592
C 6.332 -0.390 1.446
C -0.579 1.940 0.855
C -1.527 -1.944 5.809
C 1.162 4.348 5.262
C 1.341 -0.093 1.675
N -2.432 2.412 5.612
N 1.754 0.830 6.454
N 5.511 -0.558 2.274
N -0.885 2.941 1.392
N -0.942 -1.057 5.294
N 0.276 4.538 4.503
N 2.055 -0.092 2.614
O 3.296 3.142 2.562
```

Properties
Corrected total energy (MP2020 scheme) in eV for the cell shown: -147.762
Formation energy in eV/atom: -0.16

***

Question: What is the formula in the ninth record?
Answer: MgMn5CrP6O24